No. 1
Material: TlI3
Method: DFT, PBE
State: optimized geometry

Geometry as POSCAR:
```
TlI3
1.0
-5.4403 -1.8545 -3.3738
-2.7789 -5.6967 7.6123
-5.3554 8.1589 4.1508
Tl I
4 12
direct
0.2500 0.0227 0.3300
0.7500 0.9773 0.6700
0.7500 0.5227 0.1700
0.2500 0.4773 0.8300
0.2500 0.3510 0.1517
0.7500 0.6490 0.8483
0.7500 0.8510 0.3483
0.2500 0.1490 0.6517
0.2500 0.5470 0.3711
0.7500 0.4530 0.6289
0.7500 0.0470 0.1289
0.2500 0.9530 0.8711
0.2500 0.7318 0.5811
0.7500 0.2682 0.4189
0.7500 0.2318 0.9189
0.2500 0.7682 0.0811
```

Properties
- Energy with MP2020 corrections: -9.442 eV/f.u.
- DFT total energy: -0.0763 hartree per atom

No. 2
Material: TmI3
Method: DFT, PBE
State: optimized geometry

Geometry as POSCAR:
```
TmI3
1.0
-8.3985 8.0696 -1.0166
-0.1566 -7.5029 8.9649
2.1606 2.5190 2.1459
Tm I
2 6
direct
0.3333 0.6667 0.7500
0.6667 0.3333 0.2500
0.2200 0.4400 0.2500
0.5600 0.7800 0.2500
0.2200 0.7800 0.2500
0.7800 0.5600 0.7500
0.4400 0.2200 0.7500
0.7800 0.2200 0.7500
```

Properties
- Energy with MP2020 corrections: -15.534 eV/f.u.
- DFT total energy: -0.1323 hartree per atom

No. 3
Material: TmI2
Method: DFT, PBE
State: optimized geometry

Geometry as POSCAR:
```
TmI2
1.0
2.0448 -3.5417 0.0000
2.0448 3.5417 0.0000
0.0000 0.0000 8.0711
Tm I
1 2
direct
0.0000 0.0000 0.0000
0.6667 0.3333 0.7620
0.3333 0.6667 0.2380
```

Properties
- Energy with MP2020 corrections: -11.723 eV/f.u.
- DFT total energy: -0.1343 hartree per atom

No. 4
Material: VI2
Method: DFT, PBE
State: optimized geometry

Geometry as POSCAR:
```
VI2
1.0
-2.0563 -3.5617 0.0000
-2.0563 3.5617 0.0000
0.0000 0.0000 -7.1424
V I
1 2
direct
0.0000 0.0000 0.0000
0.6667 0.3333 0.2201
0.3333 0.6667 0.7799
```

Properties
- Energy with MP2020 corrections: -14.355 eV/f.u.
- DFT total energy: -0.1666 hartree per atom

No. 5
Material: W15I47
Method: DFT, PBE
State: optimized geometry

Geometry as POSCAR:
```
W15I47
1.0
5.1637 20.9976 0.0000
-5.1637 20.9976 0.0000
0.0000 3.0766 12.1633
W I
15 47
direct
0.3433 0.6567 0.5000
0.1146 0.8072 0.6004
0.1928 0.8854 0.3996
0.1383 0.8181 0.3822
0.1819 0.8617 0.6178
0.9998 0.3136 0.8755
0.6864 0.0002 0.1245
0.8524 0.5417 0.9136
0.4583 0.1476 0.0864
0.8339 0.5211 0.7257
0.4789 0.1661 0.2743
0.7739 0.4571 0.8396
0.5429 0.2261 0.1604
0.7920 0.4771 0.0250
0.5229 0.2080 0.9750
0.6165 0.3835 0.5000
0.3720 0.6685 0.2684
0.3315 0.6280 0.7316
0.9812 0.0567 0.2750
0.9433 0.0188 0.7250
0.2820 0.5846 0.4901
0.4154 0.7180 0.5099
0.8988 0.9756 0.4867
0.0244 0.1012 0.5133
0.0489 0.7487 0.7621
0.2513 0.9511 0.2379
0.9971 0.6917 0.6329
0.3083 0.0029 0.3671
0.9517 0.6419 0.5057
0.3581 0.0483 0.4943
0.0978 0.7937 0.2043
0.2063 0.9022 0.7957
0.1515 0.8485 0.0000
0.2719 0.0425 0.8749
0.9575 0.7281 0.1251
0.9113 0.6014 0.9767
0.3986 0.0887 0.0233
0.0690 0.3768 0.7535
0.6232 0.9310 0.2465
0.6830 0.7560 0.7602
0.2440 0.3170 0.2398
0.9870 0.2856 0.6771
0.7144 0.0130 0.3229
0.5989 0.6736 0.6864
0.3264 0.4011 0.3136
0.9425 0.2377 0.9944
0.7623 0.0575 0.0056
0.5561 0.6280 0.9905
0.3720 0.4439 0.0095
0.0253 0.3262 0.0751
0.6738 0.9747 0.9249
0.6338 0.7151 0.0631
0.2849 0.3662 0.9369
0.8585 0.5597 0.4930
0.4403 0.1415 0.5070
0.8058 0.5045 0.3770
0.4955 0.1942 0.6230
0.7527 0.4504 0.2544
0.5496 0.2473 0.7456
0.7047 0.3996 0.7869
0.6004 0.2953 0.2131
0.6543 0.3457 0.0000
```

Properties
- Energy with MP2020 corrections: -292.641 eV/f.u.
- DFT total energy: -0.1629 hartree per atom

No. 6
Material: YI
Method: DFT, PBE
State: optimized geometry

Geometry as POSCAR:
```
YI
1.0
-1.9780 -3.4260 0.0000
-1.9780 3.4260 0.0000
0.0000 0.0000 -11.0795
Y I
2 2
direct
0.3333 0.6667 0.3733
0.6667 0.3333 0.6267
0.6667 0.3333 0.1800
0.3333 0.6667 0.8200
```

Properties
- Energy with MP2020 corrections: -10.094 eV/f.u.
- DFT total energy: -0.1785 hartree per atom

No. 7
Material: YI3
Method: DFT, PBE
State: optimized geometry

Geometry as POSCAR:
```
YI3
1.0
-6.1755 -4.4887 -4.3169
-3.8599 -7.5051 2.3865
-8.3633 -1.2512 2.3260
Y I
2 6
direct
0.1664 0.1664 0.1664
0.8336 0.8336 0.8336
0.5776 0.2217 0.9353
0.7783 0.0647 0.4224
0.0647 0.4224 0.7783
0.4224 0.7783 0.0647
0.9353 0.5776 0.2217
0.2217 0.9353 0.5776
```

Properties
- Energy with MP2020 corrections: -17.925 eV/f.u.
- DFT total energy: -0.1542 hartree per atom

No. 8
Material: ZrI2
Method: DFT, PBE
State: optimized geometry

Geometry as POSCAR:
```
ZrI2
1.0
3.7753 0.0000 0.0000
0.0000 6.9266 0.0000
0.0000 1.4685 16.2588
Zr I
4 8
direct
0.2500 0.3134 0.9968
0.2500 0.8122 0.5033
0.7500 0.6866 0.0032
0.7500 0.1878 0.4967
0.2500 0.3982 0.6007
0.7500 0.6018 0.3993
0.7500 0.4475 0.8644
0.7500 0.0587 0.1006
0.2500 0.5525 0.1356
0.7500 0.8904 0.6357
0.2500 0.9413 0.8994
0.2500 0.1096 0.3643
```

Properties
- Energy with MP2020 corrections: -15.031 eV/f.u.
- DFT total energy: -0.1748 hartree per atom

Computed values of formation energy from the elements (unit: eV/atom) for the preceding records, in sequence: -0.63 -1.62 -1.40 -0.74 -0.43 -1.05 -1.72 -1.15.